(1)
LiB12PC | PBE | relaxed

abc: 7.1266 7.1266 7.1266
angles: 132.22 110.34 88.89
Fractional coordinates of all 30 atoms:
Li: 0.0672 0.2500 0.3172
Li: 0.9328 0.7500 0.6828
B: 0.0969 0.2754 0.9972
B: 0.0969 0.5998 0.3215
B: 0.1156 0.3359 0.7951
B: 0.1156 0.8205 0.2797
B: 0.1321 0.6659 0.9663
B: 0.2460 0.5867 0.1593
B: 0.2783 0.0998 0.0028
B: 0.2783 0.7754 0.6785
B: 0.3088 0.8319 0.9769
B: 0.4274 0.0867 0.8407
B: 0.4690 0.1735 0.3093
B: 0.4690 0.6597 0.7955
B: 0.5408 0.3205 0.2049
B: 0.5408 0.8359 0.7203
B: 0.5884 0.9085 0.1799
B: 0.6996 0.1659 0.0337
B: 0.7266 0.2181 0.3251
B: 0.7266 0.9015 0.0084
B: 0.7287 0.4085 0.8201
B: 0.8551 0.3319 0.0231
B: 0.8642 0.1598 0.6908
B: 0.8642 0.6735 0.2045
B: 0.8930 0.4015 0.6749
B: 0.8930 0.7181 0.9916
P: 0.3001 0.1699 0.6302
P: 0.5397 0.6699 0.3698
C: 0.4807 0.3533 0.6274
C: 0.7259 0.8533 0.3726

Summary:
The space group is Ima2, No. 46.

***

(2)
Ce3Ni2Sn7 | PBE | relaxed

abc: 13.8464 13.8464 4.5916
angles: 90.00 90.00 160.80
Fractional coordinates of all 12 atoms:
Ce: 0.0000 0.0000 0.0000
Ce: 0.3148 0.6852 0.5000
Ce: 0.6852 0.3148 0.5000
Ni: 0.1275 0.8725 0.0000
Ni: 0.8725 0.1275 0.0000
Sn: 0.0884 0.9116 0.5000
Sn: 0.2185 0.7815 0.0000
Sn: 0.4109 0.5891 0.0000
Sn: 0.5000 0.5000 0.5000
Sn: 0.5891 0.4109 0.0000
Sn: 0.7815 0.2185 0.0000
Sn: 0.9116 0.0884 0.5000

Summary:
The space group is Cmmm, No. 65.

***

(3)
KCO3 | PBE | relaxed

abc: 8.5411 11.0957 7.3051
angles: 90.00 111.35 90.00
Fractional coordinates of all 40 atoms:
K: 0.1974 0.0915 0.1991
K: 0.1974 0.4085 0.6991
K: 0.2997 0.6590 0.2833
K: 0.2997 0.8410 0.7833
K: 0.7003 0.1590 0.2167
K: 0.7003 0.3410 0.7167
K: 0.8026 0.5915 0.3009
K: 0.8026 0.9085 0.8009
C: 0.0381 0.1245 0.6722
C: 0.0381 0.3755 0.1722
C: 0.4454 0.1294 0.7748
C: 0.4454 0.3706 0.2748
C: 0.5546 0.6294 0.7252
C: 0.5546 0.8706 0.2252
C: 0.9619 0.6245 0.8278
C: 0.9619 0.8755 0.3278
O: 0.0776 0.0403 0.7936
O: 0.0776 0.4597 0.2936
O: 0.0874 0.6930 0.8877
O: 0.0874 0.8070 0.3877
O: 0.1493 0.1573 0.5726
O: 0.1493 0.3427 0.0726
O: 0.3008 0.0775 0.6278
O: 0.3008 0.4225 0.1278
O: 0.4368 0.5542 0.6814
O: 0.4368 0.9458 0.1814
O: 0.4392 0.2334 0.8372
O: 0.4392 0.2666 0.3372
O: 0.5608 0.7334 0.6628
O: 0.5608 0.7666 0.1628
O: 0.5632 0.0542 0.8186
O: 0.5632 0.4458 0.3186
O: 0.6992 0.5775 0.8722
O: 0.6992 0.9225 0.3722
O: 0.8507 0.6573 0.9274
O: 0.8507 0.8427 0.4274
O: 0.9126 0.1930 0.6123
O: 0.9126 0.3070 0.1123
O: 0.9224 0.5403 0.7064
O: 0.9224 0.9597 0.2064

Summary:
The space group is P2_1/c, No. 14.

***

(4)
K2VCuS4 | PBE | relaxed

abc: 13.2379 11.8143 7.0994
angles: 84.96 62.75 32.29
Fractional coordinates of all 16 atoms:
K: 0.0538 0.0538 0.6962
K: 0.3038 0.3038 0.9462
K: 0.6962 0.6962 0.0538
K: 0.9462 0.9462 0.3038
V: 0.1250 0.1250 0.1250
V: 0.8750 0.8750 0.8750
Cu: 0.3750 0.3750 0.3750
Cu: 0.6250 0.6250 0.6250
S: 0.0455 0.3133 0.3982
S: 0.2571 0.6018 0.6867
S: 0.3133 0.0455 0.7429
S: 0.3982 0.7429 0.0455
S: 0.6018 0.2571 0.9545
S: 0.6867 0.9545 0.2571
S: 0.7429 0.3982 0.3133
S: 0.9545 0.6867 0.6018

Summary:
The space group is Fddd, No. 70. The calculation puts the offset from the most stable computed form at 0.0 kJ per mole of atoms.

***

Per-record formation enthalpy at 0 K, eV/atom: -0.2728 -0.5503 -1.7404 -1.2700
Per-record theoretical density, g/cm3: 2.50 7.85 2.04 2.60